VASP calculation (GGA-PBE) on Mg2Al3 after structural relaxation.

Cell lengths 6.4447, 6.4447, 19.2155 Å; angles 90.00, 90.00, 90.00 degrees
Last column: nearest neighbours and their distance in Å.
Space group I4_1/amd (No. 141, origin choice 2)
Inequivalent atoms, fractional coordinates:
Mg 0.0000 0.0260 0.1684 x16  5 Al 2.87-2.99, 3 Mg 2.89-3.02
Al 0.0000 0.0000 0.0000 x8  4 Al 2.82, 4 Mg 2.87
Al 0.0000 0.0375 0.3218 x16  5 Al 2.74-2.82, 3 Mg 2.95-2.99

Its uncorrected energy is -111.74 eV for the cell shown. As for the energy of formation from the pure elements: 0.0939 eV/atom.

***

VASP calculation (GGA-PBE) on Mg3Al after structural relaxation.

Cell lengths 4.3767, 4.3767, 4.3767 Å; angles 90.00, 90.00, 90.00 degrees
Last column: nearest neighbours and their distance in Å.
Space group Pm-3m (No. 221)
Inequivalent atoms, fractional coordinates:
Mg 0.0000 0.0000 0.5000 x3  8 Mg 3.09, 4 Al 3.09
Al 0.5000 0.5000 0.5000 x1  12 Mg 3.09

Its uncorrected energy is -8.55 eV for the cell shown. As for the energy of formation from the pure elements: -0.0008 eV/atom.